{"formula": "AgSb2F12", "functional": "PBE-GGA", "state": "optimized geometry", "lattice_angstrom": [[-5.430, 0.000, 0.000], [2.344, 5.093, 0.000], [-0.231, -2.306, -8.732]], "species": ["F", "F", "F", "F", "F", "F", "F", "F", "F", "Ag", "F", "Sb", "F", "F", "Sb"], "fractional_positions": [[0.694, 0.231, 0.134], [0.306, 0.769, 0.866], [0.647, 0.227, 0.771], [0.886, 0.796, 0.710], [0.114, 0.204, 0.290], [0.208, 0.240, 0.937], [0.773, 0.773, 0.373], [0.353, 0.773, 0.229], [0.792, 0.760, 0.063], [0.500, 0.500, 0.500], [0.227, 0.227, 0.627], [0.731, 0.988, 0.235], [0.306, 0.772, 0.568], [0.694, 0.228, 0.432], [0.269, 0.012, 0.765]], "density_g_cm3": 3.984, "final_energy_ev_per_atom": -4.289}


{"formula": "Al2Si3H8N2O10", "functional": "PBE-GGA", "state": "optimized geometry", "lattice_angstrom": [[-12.338, -1.328, 3.402], [-8.073, 4.289, -3.237], [-5.723, -7.798, 0.496]], "species": ["O", "Si", "H", "O", "H", "Si", "O", "H", "H", "O", "N", "O", "H", "Si", "H", "Si", "O", "O", "H", "H", "Si", "O", "O", "Al", "N", "O", "O", "Si", "H", "Al", "N", "Al", "O", "H", "O", "O", "Al", "O", "O", "N", "O", "H", "H", "H", "O", "H", "O", "H", "O", "H"], "fractional_positions": [[0.848, 0.459, 0.549], [0.792, 0.277, 0.008], [0.919, 0.600, 0.903], [0.748, 0.371, 0.879], [0.377, 0.102, 0.637], [0.481, 0.019, 0.019], [0.591, 0.325, 0.212], [0.650, 0.331, 0.672], [0.581, 0.236, 0.829], [0.879, 0.502, 0.248], [0.418, 0.001, 0.694], [0.458, 0.686, 0.587], [0.347, 0.672, 0.331], [0.231, 0.769, 0.769], [0.150, 0.944, 0.518], [0.242, 0.327, 0.458], [0.038, 0.378, 0.659], [0.002, 0.879, 0.371], [0.306, 0.100, 0.862], [0.388, 0.518, 0.944], [0.973, 0.458, 0.327], [0.872, 0.212, 0.325], [0.434, 0.109, 0.208], [0.748, 0.448, 0.317], [0.887, 0.694, 0.001], [0.925, 0.659, 0.378], [0.791, 0.402, 0.106], [0.923, 0.008, 0.277], [0.613, 0.367, 0.873], [0.487, 0.317, 0.448], [0.249, 0.832, 0.363], [0.933, 0.763, 0.502], [0.042, 0.002, 0.816], [0.883, 0.637, 0.102], [0.248, 0.208, 0.109], [0.564, 0.792, 0.981], [0.802, 0.502, 0.763], [0.141, 0.816, 0.002], [0.701, 0.106, 0.402], [0.556, 0.363, 0.832], [0.663, 0.981, 0.792], [0.354, 0.829, 0.236], [0.421, 0.896, 0.669], [0.148, 0.873, 0.367], [0.269, 0.587, 0.686], [0.014, 0.669, 0.896], [0.144, 0.549, 0.459], [0.732, 0.862, 0.100], [0.371, 0.248, 0.502], [0.578, 0.903, 0.600]], "density_g_cm3": 2.008, "relative_energy_kj_per_mol_fu": 13}


{"formula": "CsNb6Cl15", "functional": "PBE-GGA", "state": "optimized geometry", "lattice_angstrom": [[-3.318, -8.854, 1.609], [12.897, -4.999, -0.916], [2.224, 2.438, 18.009]], "species": ["Cl", "Cl", "Cl", "Cl", "Cl", "Cl", "Cs", "Cl", "Cl", "Nb", "Cl", "Cl", "Nb", "Cl", "Cl", "Cl", "Cl", "Cl", "Cl", "Nb", "Cl", "Nb", "Nb", "Cl", "Cl", "Cl", "Cl", "Nb", "Cl", "Cl", "Nb", "Cl", "Cl", "Cl", "Cl", "Cl", "Nb", "Cl", "Cl", "Cl", "Nb", "Cl", "Cl", "Cl", "Cl", "Nb", "Cl", "Nb", "Nb", "Cl", "Nb", "Cl", "Nb", "Nb", "Cl", "Cl", "Cl", "Nb", "Cl", "Cl", "Cl", "Cl", "Nb", "Cl", "Cs", "Nb", "Cl", "Nb", "Nb", "Nb", "Cl", "Cl", "Cl", "Cl", "Nb", "Nb", "Cs", "Cl", "Cl", "Cl", "Cl", "Cs", "Cl", "Cl", "Cl", "Nb", "Cl", "Cl"], "fractional_positions": [[0.266, 0.623, 0.090], [0.657, 0.750, 0.250], [0.077, 0.878, 0.846], [0.337, 0.500, 0.568], [0.920, 0.621, 0.341], [0.000, 0.251, 0.000], [0.184, 0.746, 0.250], [0.920, 0.621, 0.159], [0.734, 0.377, 0.590], [0.922, 0.500, 0.895], [0.266, 0.623, 0.410], [0.329, 0.250, 0.934], [0.454, 0.000, 0.250], [0.663, 0.500, 0.068], [0.923, 0.122, 0.346], [0.330, 0.000, 0.939], [0.000, 0.251, 0.500], [0.734, 0.623, 0.590], [0.077, 0.122, 0.654], [0.668, 0.107, 0.331], [0.080, 0.379, 0.659], [0.144, 0.393, 0.529], [0.668, 0.893, 0.169], [0.077, 0.122, 0.846], [0.000, 0.749, 0.000], [0.266, 0.377, 0.090], [0.077, 0.878, 0.654], [0.332, 0.107, 0.831], [0.343, 0.250, 0.750], [0.734, 0.377, 0.910], [0.856, 0.607, 0.029], [0.663, 0.500, 0.432], [0.587, 0.120, 0.651], [0.920, 0.379, 0.341], [0.587, 0.120, 0.849], [0.832, 0.000, 0.750], [0.856, 0.607, 0.471], [0.000, 0.749, 0.500], [0.923, 0.878, 0.346], [0.671, 0.750, 0.066], [0.668, 0.893, 0.331], [0.343, 0.750, 0.750], [0.734, 0.623, 0.910], [0.671, 0.250, 0.066], [0.337, 0.500, 0.932], [0.144, 0.607, 0.971], [0.080, 0.379, 0.841], [0.332, 0.893, 0.831], [0.546, 0.000, 0.750], [0.329, 0.750, 0.934], [0.856, 0.393, 0.029], [0.413, 0.120, 0.349], [0.668, 0.107, 0.169], [0.078, 0.500, 0.395], [0.587, 0.880, 0.849], [0.670, 0.000, 0.439], [0.080, 0.621, 0.841], [0.922, 0.500, 0.605], [0.182, 0.500, 0.250], [0.587, 0.880, 0.651], [0.330, 0.000, 0.561], [0.670, 0.000, 0.061], [0.078, 0.500, 0.105], [0.329, 0.750, 0.566], [0.184, 0.254, 0.250], [0.881, 0.000, 0.250], [0.657, 0.250, 0.250], [0.332, 0.893, 0.669], [0.144, 0.607, 0.529], [0.119, 0.000, 0.750], [0.413, 0.880, 0.349], [0.923, 0.122, 0.154], [0.923, 0.878, 0.154], [0.671, 0.750, 0.434], [0.856, 0.393, 0.471], [0.144, 0.393, 0.971], [0.816, 0.254, 0.750], [0.080, 0.621, 0.659], [0.413, 0.880, 0.151], [0.413, 0.120, 0.151], [0.329, 0.250, 0.566], [0.816, 0.746, 0.750], [0.920, 0.379, 0.159], [0.266, 0.377, 0.410], [0.168, 0.000, 0.250], [0.332, 0.107, 0.669], [0.818, 0.500, 0.750], [0.671, 0.250, 0.434]], "density_g_cm3": 3.335, "final_energy_ev_per_atom": -5.389}


{"formula": "NaSc2Ta2P5SO24", "functional": "PBE-GGA", "state": "optimized geometry", "lattice_angstrom": [[8.797, 0.004, -0.001], [-4.395, 7.620, 0.007], [-0.002, 0.019, 22.814]], "species": ["O", "Sc", "P", "O", "O", "O", "Na", "O", "S", "Ta", "P", "S", "O", "P", "O", "O", "O", "O", "O", "O", "O", "P", "O", "Na", "O", "O", "O", "O", "O", "O", "O", "O", "O", "O", "O", "O", "P", "O", "O", "Sc", "O", "O", "O", "O", "O", "O", "Sc", "O", "P", "Sc", "P", "O", "O", "P", "O", "O", "O", "O", "P", "Sc", "Ta", "O", "O", "O", "P", "O", "O", "O", "O", "P", "O", "Na", "O", "Sc", "O", "P", "O", "O", "O", "Ta", "Ta", "P", "O", "P", "O", "O", "O", "O", "S", "O", "O", "O", "O", "Ta", "O", "P", "O", "O", "O", "O", "O", "O", "O", "Ta", "O"], "fractional_positions": [[0.199, 0.033, 0.305], [0.007, 0.005, 0.147], [0.953, 0.623, 0.083], [0.357, 0.863, 0.573], [0.163, 0.693, 0.763], [0.156, 0.468, 0.259], [0.000, 0.000, 0.003], [0.194, 0.171, 0.805], [0.712, 0.712, 0.250], [0.339, 0.668, 0.521], [0.002, 0.288, 0.250], [0.958, 0.334, 0.583], [0.532, 0.698, 0.971], [0.045, 0.665, 0.416], [0.363, 0.501, 0.073], [0.486, 0.114, 0.636], [0.141, 0.496, 0.862], [0.537, 0.687, 0.258], [0.824, 0.807, 0.591], [0.511, 0.872, 0.362], [0.966, 0.166, 0.305], [0.334, 0.952, 0.916], [0.830, 0.305, 0.242], [0.667, 0.332, 0.337], [0.457, 0.148, 0.530], [0.201, 0.020, 0.591], [0.696, 0.156, 0.028], [0.696, 0.531, 0.243], [0.363, 0.490, 0.362], [0.462, 0.305, 0.028], [0.533, 0.837, 0.471], [0.167, 0.198, 0.408], [0.471, 0.309, 0.747], [0.165, 0.467, 0.971], [0.790, 0.814, 0.197], [0.825, 0.791, 0.303], [0.619, 0.667, 0.916], [0.500, 0.642, 0.571], [0.355, 0.859, 0.862], [0.669, 0.341, 0.480], [0.980, 0.805, 0.091], [0.530, 0.837, 0.763], [0.689, 0.163, 0.746], [0.027, 0.833, 0.406], [0.641, 0.508, 0.921], [0.317, 0.847, 0.259], [0.667, 0.334, 0.979], [0.844, 0.539, 0.028], [0.287, 0.999, 0.250], [0.327, 0.667, 0.312], [0.338, 0.384, 0.416], [0.126, 0.638, 0.362], [0.022, 0.202, 0.196], [0.620, 0.956, 0.415], [0.866, 0.502, 0.138], [0.861, 0.508, 0.424], [0.804, 0.835, 0.908], [0.165, 0.968, 0.908], [0.712, 0.003, 0.750], [0.665, 0.340, 0.687], [0.000, 0.000, 0.853], [0.499, 0.862, 0.074], [0.195, 0.176, 0.090], [0.474, 0.172, 0.242], [0.668, 0.624, 0.583], [0.498, 0.364, 0.138], [0.303, 0.467, 0.471], [0.693, 0.538, 0.529], [0.884, 0.369, 0.636], [0.288, 0.287, 0.749], [0.851, 0.306, 0.530], [0.667, 0.333, 0.833], [0.174, 0.210, 0.696], [0.994, 0.994, 0.645], [0.636, 0.132, 0.138], [0.378, 0.331, 0.082], [0.628, 0.508, 0.638], [0.976, 0.805, 0.806], [0.804, 0.969, 0.406], [0.666, 0.327, 0.187], [0.332, 0.666, 0.025], [0.048, 0.381, 0.916], [0.829, 0.024, 0.806], [0.670, 0.045, 0.082], [0.984, 0.183, 0.591], [0.490, 0.350, 0.424], [0.307, 0.470, 0.763], [0.493, 0.134, 0.921], [0.376, 0.042, 0.583], [0.179, 0.975, 0.196], [0.032, 0.196, 0.908], [0.789, 0.964, 0.696], [0.648, 0.139, 0.425], [0.334, 0.667, 0.809], [0.137, 0.496, 0.573], [0.998, 0.711, 0.750], [0.839, 0.527, 0.747], [0.302, 0.835, 0.971], [0.038, 0.826, 0.696], [0.137, 0.637, 0.073], [0.505, 0.645, 0.862], [0.824, 0.017, 0.091], [0.866, 0.359, 0.921], [0.007, 0.009, 0.359], [0.163, 0.697, 0.471]], "density_g_cm3": 3.406, "final_energy_ev_per_atom": -7.879}